1.
This record from the Materials Project describes a relaxed K2Nd2MgS4O16 crystal. The functional is PBE.

Structure (POSCAR):
```
K2Nd2MgS4O16
1.0
-3.897 4.428 0.159
-3.941 -3.764 4.347
6.882 5.219 5.389
O Mg S Nd K
16 1 4 2 2
Cartesian
1.474 6.077 7.871
-3.902 0.675 4.390
-1.713 2.328 5.412
-3.412 4.035 5.898
-2.537 -0.269 2.177
2.982 3.079 6.740
-4.043 2.798 3.173
1.521 3.238 2.210
0.788 3.601 4.482
-5.863 2.076 4.556
-1.113 4.367 6.595
2.494 1.887 3.990
4.858 3.812 5.448
2.935 5.271 5.616
0.194 1.543 3.325
-2.453 2.676 7.688
-4.317 -2.361 4.518
3.770 4.299 6.373
-2.188 3.342 6.393
1.267 2.584 3.517
-4.781 1.575 3.599
-1.509 0.094 4.361
0.579 5.854 5.565
0.510 1.869 7.500
-1.673 3.934 2.400
```

SG	P1 (1)
calculated total energy	-6.26	eV/atom
excess energy over the best structure of this formula in the dataset	0.0172	eV/atom
E (MP2020)	-6.70	eV/atom
ΔH_f (0 K)	-226	kJ per mole of atoms

2.
This record from the Materials Project describes a relaxed KMg14Ni crystal. The functional is PBE.

Structure (POSCAR):
```
KMg14Ni
1.0
6.380 0.000 0.000
-3.190 5.525 0.000
0.000 0.000 10.526
Mg K Ni
14 1 1
Cartesian
1.560 0.941 3.642
3.190 3.683 4.046
3.190 3.683 9.111
4.819 0.941 9.515
1.560 0.941 9.515
-1.563 4.622 6.579
0.000 3.644 9.515
3.190 1.902 1.316
1.563 4.622 6.579
0.000 3.644 3.642
4.819 0.941 3.642
-1.647 4.574 1.316
1.647 4.574 1.316
3.190 1.805 6.579
0.000 1.842 6.579
0.000 1.842 1.316
```

SG	P-6m2 (187)
calculated total energy	-1.69	eV/atom
excess energy over the best structure of this formula in the dataset	0.0125	eV/atom
ΔH_f (0 K)	13	kJ per mole of atoms

3.
This record from the Materials Project describes a relaxed KMg6Ni crystal. The functional is PBE.

Structure (POSCAR):
```
KMg6Ni
1.0
-3.335 7.348 0.697
-2.530 -7.624 1.041
1.283 0.169 4.356
Mg Ni K
6 1 1
Cartesian
-1.435 -0.714 0.450
-2.581 5.341 2.923
-3.079 2.582 0.807
-4.361 -0.852 1.318
-0.819 1.253 2.563
-3.895 1.109 3.475
-2.608 -6.177 1.008
-2.116 -3.304 3.122
```

SG	Amm2 (38)
calculated total energy	-1.86	eV/atom
excess energy over the best structure of this formula in the dataset	0.0000	eV/atom
ΔH_f (0 K)	20	kJ per mole of atoms

4.
This record from the Materials Project describes a relaxed KMg14Ni crystal. The functional is PBE.

Structure (POSCAR):
```
KMg14Ni
1.0
-4.692 -1.354 4.286
-0.843 -1.523 -6.104
4.244 -9.254 1.722
Mg K Ni
14 1 1
Cartesian
-0.351 -9.797 4.142
-2.771 -5.789 0.176
1.600 -6.513 -0.246
1.136 -7.292 -3.288
-0.548 -4.966 -1.925
-0.142 -4.233 1.015
-3.061 -3.217 -2.007
-2.657 -2.487 0.919
-0.746 -7.182 1.937
-0.819 -10.045 0.969
-2.713 -4.646 3.184
-1.178 -7.963 -1.193
1.547 -9.535 -1.074
1.953 -8.801 1.865
-0.749 -2.567 -4.207
-0.829 -2.013 -1.034
```

SG	Amm2 (38)
calculated total energy	-1.70	eV/atom
excess energy over the best structure of this formula in the dataset	0.0000	eV/atom
ΔH_f (0 K)	12	kJ per mole of atoms

5.
This record from the Materials Project describes a relaxed KMg6Ni crystal. The functional is PBE.

Structure (POSCAR):
```
KMg6Ni
1.0
-2.203 4.016 2.177
-1.735 -3.654 4.985
9.575 2.466 5.140
Ni Mg K
2 12 2
Cartesian
0.445 2.406 1.918
4.364 1.812 6.981
-0.523 -2.626 4.317
5.132 0.433 4.395
2.449 2.108 4.497
7.029 0.207 6.732
6.369 1.514 9.559
0.439 -0.602 1.555
2.418 -0.981 4.257
1.595 0.310 6.951
8.073 2.079 4.334
4.359 -1.196 6.617
3.109 0.801 1.669
7.250 3.369 7.028
-0.395 0.587 4.426
5.260 3.646 4.504
```

calculated total energy	-1.79	eV/atom
excess energy over the best structure of this formula in the dataset	0.0647	eV/atom
ΔH_f (0 K)	26	kJ per mole of atoms

6.
This record from the Materials Project describes a relaxed K2Mg2O3 crystal. The functional is PBE.

Structure (POSCAR):
```
K2Mg2O3
1.0
-1.115 0.901 6.137
-5.737 -1.334 -0.847
-1.356 -6.205 0.665
Mg O K
4 6 4
Cartesian
-3.187 -2.533 3.726
-4.026 -1.259 0.150
-5.022 -4.105 2.229
-4.183 -5.379 5.805
-3.630 -1.061 5.051
-4.579 -5.577 0.903
-4.143 -2.279 1.901
-4.066 -4.359 4.054
-1.236 -2.652 3.401
0.000 0.000 0.000
-6.261 -2.960 4.912
-1.948 -3.677 1.043
-1.532 -0.363 2.154
-6.677 -6.275 3.801
```

SG	P2_1/c (14)
calculated total energy	-4.88	eV/atom
E (MP2020)	-5.17	eV/atom
ΔH_f (0 K)	-220	kJ per mole of atoms

7.
This record from the Materials Project describes a relaxed KMg2P2O8 crystal. The functional is PBE.

Structure (POSCAR):
```
KMg2P2O8
1.0
-3.194 -3.109 8.844
-0.871 -7.528 6.377
6.293 -0.739 7.250
O P K Mg
16 4 2 4
Cartesian
-2.838 -9.412 14.719
-1.278 -3.813 6.873
4.203 -5.901 11.469
2.329 -5.060 10.009
0.506 -10.157 18.134
1.531 -7.838 18.143
5.066 -1.964 7.754
-0.075 -3.382 9.044
0.697 -3.538 4.329
2.859 -2.035 9.000
2.302 -7.994 13.428
-1.975 -5.475 11.003
-0.631 -9.341 13.472
-0.102 -6.316 12.464
1.722 -1.219 4.338
3.506 -7.562 15.599
3.749 -5.681 10.006
2.993 -8.665 14.640
-1.521 -5.695 12.467
-0.765 -2.710 7.833
2.096 -4.749 13.676
0.132 -6.627 8.796
2.753 -6.708 17.193
1.665 -3.219 9.920
0.563 -8.157 12.552
-0.525 -4.668 5.279
```

SG	C2/c (15)
calculated total energy	-6.58	eV/atom
E (MP2020)	-7.00	eV/atom
ΔH_f (0 K)	-269	kJ per mole of atoms

8.
This record from the Materials Project describes a relaxed KMg4P3O12 crystal. The functional is PBE.

Structure (POSCAR):
```
KMg4P3O12
1.0
6.234 0.000 0.000
0.000 9.676 0.000
0.000 0.000 16.562
Mg O P K
16 48 12 4
Cartesian
1.578 7.248 4.939
3.117 9.490 2.350
4.695 7.267 13.220
1.539 7.267 13.220
1.578 2.428 11.623
3.117 4.485 15.040
3.117 5.191 1.522
0.000 4.652 5.931
4.695 2.410 3.342
0.000 5.025 10.631
4.656 7.248 4.939
0.000 0.353 6.759
4.656 2.428 11.623
1.539 2.410 3.342
3.117 0.186 14.212
0.000 9.323 9.803
0.000 3.714 2.981
1.288 8.705 3.017
3.117 3.711 12.036
4.973 5.709 2.016
3.117 3.798 3.155
3.117 1.124 11.262
0.000 1.040 11.436
0.000 8.549 12.807
0.000 3.500 7.521
0.000 3.720 12.352
5.009 3.252 9.757
3.117 3.555 0.341
3.117 1.118 4.071
0.000 8.636 5.126
4.378 0.871 6.265
3.117 1.338 15.803
0.000 5.957 4.210
1.288 0.971 13.545
1.892 1.586 1.476
4.405 3.867 5.264
0.000 1.283 8.622
1.225 3.252 9.757
1.829 3.867 5.264
1.892 8.090 15.086
3.117 8.338 0.760
4.946 0.971 13.545
1.225 6.425 6.805
5.009 6.425 6.805
3.117 6.121 16.221
3.117 8.558 12.491
4.342 8.090 15.086
1.856 8.806 10.297
0.000 5.962 13.581
1.261 3.968 14.546
3.117 8.552 5.300
1.856 0.871 6.265
1.829 5.809 11.298
3.117 5.966 4.526
3.117 5.878 13.407
4.946 8.705 3.017
4.342 1.586 1.476
1.261 5.709 2.016
4.973 3.968 14.546
0.000 8.393 7.940
0.000 1.127 3.755
4.378 8.806 10.297
4.405 5.809 11.298
0.000 6.176 9.041
0.000 6.860 7.682
3.117 9.247 11.037
3.117 0.429 5.525
0.000 2.816 8.880
3.117 5.262 11.945
3.117 2.022 0.599
3.117 7.654 15.963
3.117 4.414 4.617
0.000 9.252 3.664
0.000 4.409 13.806
0.000 0.424 12.898
0.000 5.267 2.756
0.000 1.943 15.985
0.000 7.733 0.577
3.117 6.781 8.858
3.117 2.895 7.704
```

SG	Pnnm (58)
calculated total energy	-6.75	eV/atom
E (MP2020)	-7.17	eV/atom
ΔH_f (0 K)	-290	kJ per mole of atoms